The following is a DFT calculation (meta-GGA r2SCAN) of crystalline Pr4CdNi at its relaxed geometry.

## Properties
Its symmetry is F-43m, No. 216. As for the energy relative to the elements: -0.231 eV/atom. For the volume, the calculation gives 687.4 Å³/cell.

Cell lengths 9.9065, 9.9065, 9.9065 Å; angles 60.00, 60.00, 60.00 degrees
Sites, in units of the cell vectors:
Pr (0.0582, 0.0582, 0.4418)
Pr (0.0582, 0.4418, 0.0582)
Pr (0.0582, 0.4418, 0.4418)
Pr (0.1876, 0.1876, 0.8124)
Pr (0.1876, 0.8124, 0.1876)
Pr (0.1876, 0.8124, 0.8124)
Pr (0.2066, 0.5978, 0.5978)
Pr (0.4418, 0.0582, 0.0582)
Pr (0.4418, 0.0582, 0.4418)
Pr (0.4418, 0.4418, 0.0582)
Pr (0.5978, 0.2066, 0.5978)
Pr (0.5978, 0.5978, 0.2066)
Pr (0.5978, 0.5978, 0.5978)
Pr (0.8124, 0.1876, 0.1876)
Pr (0.8124, 0.1876, 0.8124)
Pr (0.8124, 0.8124, 0.1876)
Cd (0.5139, 0.8287, 0.8287)
Cd (0.8287, 0.5139, 0.8287)
Cd (0.8287, 0.8287, 0.5139)
Cd (0.8287, 0.8287, 0.8287)
Ni (0.3923, 0.3923, 0.3923)
Ni (0.3923, 0.3923, 0.8230)
Ni (0.3923, 0.8230, 0.3923)
Ni (0.8230, 0.3923, 0.3923)

***

The following is a DFT calculation (meta-GGA r2SCAN) of crystalline SmCdNi4 at its relaxed geometry.

## Properties
Its symmetry is F-43m, No. 216. As for the energy relative to the elements: -0.281 eV/atom. For the volume, the calculation gives 86.7 Å³/cell.

Cell lengths 4.9681, 4.9681, 4.9681 Å; angles 60.00, 60.00, 60.00 degrees
Sites, in units of the cell vectors:
Sm (0.0000, 0.0000, 0.0000)
Cd (0.7500, 0.7500, 0.7500)
Ni (0.3763, 0.3763, 0.3763)
Ni (0.3763, 0.3763, 0.8711)
Ni (0.3763, 0.8711, 0.3763)
Ni (0.8711, 0.3763, 0.3763)

***

The following is a DFT calculation (meta-GGA r2SCAN) of crystalline Sm2CdNi2 at its relaxed geometry.

## Properties
Its symmetry is Cmmm, No. 65. As for the energy relative to the elements: -0.387 eV/atom. For the volume, the calculation gives 105.8 Å³/cell.

Cell lengths 7.4861, 7.4861, 3.7148 Å; angles 90.00, 90.00, 149.45 degrees
Sites, in units of the cell vectors:
Sm (0.1377, 0.8623, 0.0000)
Sm (0.8623, 0.1377, 0.0000)
Cd (0.5000, 0.5000, 0.5000)
Ni (0.2978, 0.7022, 0.5000)
Ni (0.7022, 0.2978, 0.5000)

***

The following is a DFT calculation (meta-GGA r2SCAN) of crystalline Tb4CdNi at its relaxed geometry.

## Properties
Its symmetry is F-43m, No. 216. As for the energy relative to the elements: -0.318 eV/atom. For the volume, the calculation gives 613.2 Å³/cell.

Cell lengths 9.5361, 9.5361, 9.5361 Å; angles 60.00, 60.00, 60.00 degrees
Sites, in units of the cell vectors:
Tb (0.1868, 0.1868, 0.8132)
Tb (0.1868, 0.8132, 0.1868)
Tb (0.1868, 0.8132, 0.8132)
Tb (0.4014, 0.4014, 0.4014)
Tb (0.4014, 0.4014, 0.7959)
Tb (0.4014, 0.7959, 0.4014)
Tb (0.5609, 0.5609, 0.9391)
Tb (0.5609, 0.9391, 0.5609)
Tb (0.5609, 0.9391, 0.9391)
Tb (0.7959, 0.4014, 0.4014)
Tb (0.8132, 0.1868, 0.1868)
Tb (0.8132, 0.1868, 0.8132)
Tb (0.8132, 0.8132, 0.1868)
Tb (0.9391, 0.5609, 0.5609)
Tb (0.9391, 0.5609, 0.9391)
Tb (0.9391, 0.9391, 0.5609)
Cd (0.1694, 0.1694, 0.1694)
Cd (0.1694, 0.1694, 0.4917)
Cd (0.1694, 0.4917, 0.1694)
Cd (0.4917, 0.1694, 0.1694)
Ni (0.1772, 0.6076, 0.6076)
Ni (0.6076, 0.1772, 0.6076)
Ni (0.6076, 0.6076, 0.1772)
Ni (0.6076, 0.6076, 0.6076)

***

The following is a DFT calculation (meta-GGA r2SCAN) of crystalline YbCdNi4 at its relaxed geometry.

## Properties
Its symmetry is F-43m, No. 216. As for the energy relative to the elements: -0.355 eV/atom. For the volume, the calculation gives 82.4 Å³/cell.

Cell lengths 4.8849, 4.8849, 4.8849 Å; angles 60.00, 60.00, 60.00 degrees
Sites, in units of the cell vectors:
Yb (0.0000, 0.0000, 0.0000)
Cd (0.7500, 0.7500, 0.7500)
Ni (0.3758, 0.3758, 0.3758)
Ni (0.3758, 0.3758, 0.8726)
Ni (0.3758, 0.8726, 0.3758)
Ni (0.8726, 0.3758, 0.3758)

***

The following is a DFT calculation (meta-GGA r2SCAN) of crystalline Cd2Os2O7 at its relaxed geometry.

## Properties
Its symmetry is R-3m, No. 166. As for the energy relative to the elements: -1.196 eV/atom. For the volume, the calculation gives 267.7 Å³/cell.

Cell lengths 7.2337, 7.2337, 7.2337 Å; angles 60.01, 60.01, 60.01 degrees
Sites, in units of the cell vectors:
Cd (0.0000, 0.0000, 0.0000)
Cd (0.0000, 0.0000, 0.5000)
Cd (0.0000, 0.5000, 0.0000)
Cd (0.5000, 0.0000, 0.0000)
Os (0.0000, 0.5000, 0.5000)
Os (0.5000, 0.0000, 0.5000)
Os (0.5000, 0.5000, 0.0000)
Os (0.5000, 0.5000, 0.5000)
O (0.1262, 0.1262, 0.1262)
O (0.1742, 0.1742, 0.5696)
O (0.1742, 0.5696, 0.1742)
O (0.1836, 0.5656, 0.5656)
O (0.4304, 0.8258, 0.8258)
O (0.4344, 0.4344, 0.8164)
O (0.4344, 0.8164, 0.4344)
O (0.5656, 0.1836, 0.5656)
O (0.5656, 0.5656, 0.1836)
O (0.5696, 0.1742, 0.1742)
O (0.8164, 0.4344, 0.4344)
O (0.8258, 0.4304, 0.8258)
O (0.8258, 0.8258, 0.4304)
O (0.8738, 0.8738, 0.8738)

***

The following is a DFT calculation (meta-GGA r2SCAN) of crystalline Cd2P2O7 at its relaxed geometry.

## Properties
Its symmetry is P-1, No. 2. As for the energy relative to the elements: -2.143 eV/atom. For the volume, the calculation gives 268.2 Å³/cell.

Cell lengths 6.6339, 6.6476, 6.7887 Å; angles 84.47, 64.78, 82.37 degrees
Sites, in units of the cell vectors:
Cd (0.1183, 0.1612, 0.2511)
Cd (0.2731, 0.3631, 0.6642)
Cd (0.7269, 0.6369, 0.3358)
Cd (0.8817, 0.8388, 0.7489)
P (0.2380, 0.6595, 0.2437)
P (0.3621, 0.8644, 0.8090)
P (0.6379, 0.1356, 0.1910)
P (0.7620, 0.3405, 0.7563)
O (0.0719, 0.8340, 0.3641)
O (0.1034, 0.5054, 0.2125)
O (0.2114, 0.7422, 0.7656)
O (0.2580, 0.0788, 0.8852)
O (0.3926, 0.5683, 0.3476)
O (0.4009, 0.1382, 0.3683)
O (0.4031, 0.7484, 0.0130)
O (0.5969, 0.2516, 0.9870)
O (0.5991, 0.8618, 0.6317)
O (0.6074, 0.4317, 0.6524)
O (0.7420, 0.9212, 0.1148)
O (0.7886, 0.2578, 0.2344)
O (0.8966, 0.4946, 0.7875)
O (0.9281, 0.1659, 0.6359)

***

The following is a DFT calculation (meta-GGA r2SCAN) of crystalline CdP4O11 at its relaxed geometry.

## Properties
Its symmetry is P-1, No. 2. As for the energy relative to the elements: -2.184 eV/atom. For the volume, the calculation gives 861.8 Å³/cell.

Cell lengths 9.4173, 9.4459, 10.8943 Å; angles 108.82, 108.83, 90.25 degrees
Sites, in units of the cell vectors:
Cd (0.2260, 0.2639, 0.4873)
Cd (0.2609, 0.7587, 0.0209)
Cd (0.7391, 0.2413, 0.9791)
Cd (0.7740, 0.7361, 0.5127)
P (0.0840, 0.4366, 0.7470)
P (0.1028, 0.2326, 0.9117)
P (0.1088, 0.9137, 0.7714)
P (0.2318, 0.5839, 0.3937)
P (0.2551, 0.9139, 0.5615)
P (0.4210, 0.0913, 0.2779)
P (0.4275, 0.2425, 0.0788)
P (0.4409, 0.5653, 0.2370)
P (0.5591, 0.4347, 0.7630)
P (0.5725, 0.7575, 0.9212)
P (0.5790, 0.9087, 0.7221)
P (0.7449, 0.0861, 0.4385)
P (0.7682, 0.4161, 0.6063)
P (0.8912, 0.0863, 0.2286)
P (0.8972, 0.7674, 0.0883)
P (0.9160, 0.5634, 0.2530)
O (0.0264, 0.7581, 0.0423)
O (0.0424, 0.1705, 0.2807)
O (0.0727, 0.3234, 0.6131)
O (0.0901, 0.5433, 0.2584)
O (0.0976, 0.0905, 0.7866)
O (0.1386, 0.3642, 0.8672)
O (0.1737, 0.5852, 0.8044)
O (0.1777, 0.8628, 0.6483)
O (0.1865, 0.0248, 0.5018)
O (0.2235, 0.5167, 0.4948)
O (0.2255, 0.9159, 0.9007)
O (0.2502, 0.2408, 0.0369)
O (0.2586, 0.7618, 0.4477)
O (0.3055, 0.9596, 0.2129)
O (0.3202, 0.5837, 0.1191)
O (0.3653, 0.5381, 0.3426)
O (0.4009, 0.2316, 0.3781)
O (0.4227, 0.3254, 0.6854)
O (0.4233, 0.9683, 0.6536)
O (0.4661, 0.1318, 0.1601)
O (0.4836, 0.2081, 0.9635)
O (0.4936, 0.4003, 0.1906)
O (0.5064, 0.5997, 0.8094)
O (0.5164, 0.7919, 0.0365)
O (0.5339, 0.8682, 0.8399)
O (0.5767, 0.0317, 0.3464)
O (0.5773, 0.6746, 0.3146)
O (0.5991, 0.7684, 0.6219)
O (0.6347, 0.4619, 0.6574)
O (0.6798, 0.4163, 0.8809)
O (0.6945, 0.0404, 0.7871)
O (0.7414, 0.2382, 0.5523)
O (0.7498, 0.7592, 0.9631)
O (0.7745, 0.0841, 0.0993)
O (0.7765, 0.4833, 0.5052)
O (0.8135, 0.9752, 0.4982)
O (0.8223, 0.1372, 0.3517)
O (0.8263, 0.4148, 0.1956)
O (0.8614, 0.6358, 0.1328)
O (0.9024, 0.9095, 0.2134)
O (0.9099, 0.4567, 0.7416)
O (0.9273, 0.6766, 0.3869)
O (0.9576, 0.8295, 0.7193)
O (0.9736, 0.2419, 0.9577)